## a
Here is RbInMo2O8 after structural relaxation from the Materials Project database. Energies are from GGA+U.

Calculated values
Space-group type: P-3m1
Calculated density, Mg/m³: 3.58

Cell: 5.947 5.947 7.886 Å, 90.00 90.00 120.00°
Sites, in units of the cell vectors:
Rb 0.000 0.000 0.500
In 0.000 0.000 0.000
Mo 0.667 0.333 0.763
Mo 0.333 0.667 0.237
O 0.332 0.166 0.833
O 0.834 0.166 0.833
O 0.834 0.668 0.833
O 0.166 0.834 0.167
O 0.333 0.667 0.459
O 0.667 0.333 0.541
O 0.166 0.332 0.167
O 0.668 0.834 0.167

## b
Here is RbInMo2O8 after structural relaxation from the Materials Project database. Energies are from GGA+U.

Calculated values
Space-group type: Pnma
Total magnetic moment, μB/f.u.: 0.00
Calculated density, Mg/m³: 4.06

Cell: 5.960 9.124 15.635 Å, 90.00 90.00 90.00°
Sites, in units of the cell vectors:
Rb 0.750 0.450 0.876
Rb 0.250 0.550 0.124
Rb 0.250 0.950 0.624
Rb 0.750 0.050 0.376
In 0.250 0.812 0.886
In 0.750 0.188 0.114
In 0.750 0.312 0.614
In 0.250 0.688 0.386
Mo 0.250 0.509 0.716
Mo 0.750 0.491 0.284
Mo 0.750 0.009 0.784
Mo 0.250 0.991 0.216
Mo 0.250 0.212 0.969
Mo 0.750 0.788 0.031
Mo 0.750 0.712 0.531
Mo 0.250 0.288 0.469
O 0.750 0.140 0.864
O 0.250 0.860 0.136
O 0.250 0.640 0.636
O 0.750 0.360 0.364
O 0.002 0.899 0.797
O 0.502 0.101 0.203
O 0.998 0.399 0.703
O 0.498 0.601 0.297
O 0.998 0.101 0.203
O 0.498 0.899 0.797
O 0.002 0.601 0.297
O 0.502 0.399 0.703
O 0.250 0.605 0.819
O 0.750 0.395 0.181
O 0.750 0.105 0.681
O 0.250 0.895 0.319
O 0.250 0.299 0.870
O 0.750 0.701 0.130
O 0.750 0.799 0.630
O 0.250 0.201 0.370
O 0.250 0.016 0.957
O 0.750 0.984 0.043
O 0.750 0.516 0.543
O 0.250 0.484 0.457
O 0.506 0.723 0.971
O 0.006 0.277 0.029
O 0.494 0.223 0.529
O 0.994 0.777 0.471
O 0.494 0.277 0.029
O 0.994 0.723 0.971
O 0.506 0.777 0.471
O 0.006 0.223 0.529

Least stable = b